Li4SnB2O6 | PBE-GGA | relaxed

## Properties
SG ... Pnnm, No. 58
Calculated volume ... 11.00 Å³ per atom
Energy of formation from the pure elements ... -2.39 eV/atom
Total energy after the MP2020 corrections ... -171.65 eV per cell

Cell: 8.5019 9.4626 3.5553 Å, 90.00 90.00 90.00°
Last column: nearest neighbours and their distance in Å.
Sites, in units of the cell vectors:
Li1 0.0156 0.2011 0.0000  4 O 1.98-2.01
Li2 0.1730 0.0450 0.5000  4 O 2.06-2.21
Li3 0.3270 0.5450 0.0000  4 O 2.06-2.21
Li4 0.4844 0.7011 0.5000  4 O 1.98-2.01
Li5 0.5156 0.2989 0.5000  4 O 1.98-2.01
Li6 0.6730 0.4550 0.0000  4 O 2.06-2.21
Li7 0.8270 0.9550 0.5000  4 O 2.06-2.21
Li8 0.9844 0.7989 0.0000  4 O 1.98-2.01
Sn1 0.0000 0.5000 0.5000  6 O 2.44-2.59
Sn2 0.5000 0.0000 0.0000  6 O 2.44-2.59
B1 0.2268 0.7878 0.5000  3 O 1.38-1.41
B2 0.2732 0.2878 0.0000  3 O 1.38-1.41
B3 0.7268 0.7122 0.0000  3 O 1.38-1.41
B4 0.7732 0.2122 0.5000  3 O 1.38-1.41
O1 0.0771 0.8450 0.5000  1 B 1.38
O2 0.1431 0.3795 0.0000  1 B 1.41
O3 0.2398 0.1428 0.0000  1 B 1.40
O4 0.2602 0.6428 0.5000  1 B 1.40
O5 0.3569 0.8795 0.5000  1 B 1.41
O6 0.4229 0.3450 0.0000  1 B 1.38
O7 0.5771 0.6550 0.0000  1 B 1.38
O8 0.6431 0.1205 0.5000  1 B 1.41
O9 0.7398 0.3572 0.5000  1 B 1.40
O10 0.7602 0.8572 0.0000  1 B 1.40
O11 0.8569 0.6205 0.0000  1 B 1.41
O12 0.9229 0.1550 0.5000  1 B 1.38